# Ca3PN | the Materials Project database | r²SCAN | relaxed
data_Ca3PN
_chemical_formula_sum 'Ca3 P1 N1'
_cell_length_a 4.7117
_cell_length_b 4.7117
_cell_length_c 4.7117
_cell_angle_alpha 90.00
_cell_angle_beta 90.00
_cell_angle_gamma 90.00
_space_group_name_H-M_alt 'P 1'
_space_group_IT_number 1
loop_
_space_group_symop_operation_xyz
'x,y,z'
loop_
_atom_site_label
_atom_site_type_symbol
_atom_site_fract_x
_atom_site_fract_y
_atom_site_fract_z
Ca1 Ca 0.5000 0.0000 0.5000
Ca2 Ca 0.5000 0.5000 0.0000
Ca3 Ca 0.0000 0.5000 0.5000
P1 P 0.0000 0.0000 0.0000
N1 N 0.5000 0.5000 0.5000
# * symmetry: No. 221
# * calculated total energy: -9.055 eV per atom
# * energy of formation from the pure elements: -1205 meV/atom
# * calculated volume: 104.6 Å³ per cell
# * total moment: 0.00 μB per cell


# LuAgGe | the Materials Project database | r²SCAN | relaxed
data_LuAgGe
_chemical_formula_sum 'Lu3 Ag3 Ge3'
_cell_length_a 7.0108
_cell_length_b 7.0108
_cell_length_c 4.1324
_cell_angle_alpha 90.00
_cell_angle_beta 90.00
_cell_angle_gamma 120.00
_space_group_name_H-M_alt 'P 1'
_space_group_IT_number 1
loop_
_space_group_symop_operation_xyz
'x,y,z'
loop_
_atom_site_label
_atom_site_type_symbol
_atom_site_fract_x
_atom_site_fract_y
_atom_site_fract_z
Lu1 Lu 0.5832 0.0000 0.0000
Lu2 Lu 0.0000 0.5832 0.0000
Lu3 Lu 0.4168 0.4168 0.0000
Ag1 Ag 0.2522 0.0000 0.5000
Ag2 Ag 0.0000 0.2522 0.5000
Ag3 Ag 0.7478 0.7478 0.5000
Ge1 Ge 0.3333 0.6667 0.5000
Ge2 Ge 0.6667 0.3333 0.5000
Ge3 Ge 0.0000 0.0000 0.0000
# * symmetry: No. 189
# * calculated total energy: -25.107 eV per atom
# * energy of formation from the pure elements: -671 meV/atom
# * calculated volume: 175.9 Å³ per cell
# * total moment: 0.00 μB per cell


# Sr3Hg | the Materials Project database | r²SCAN | relaxed
data_Sr3Hg
_chemical_formula_sum 'Sr12 Hg4'
_cell_length_a 7.4969
_cell_length_b 8.7295
_cell_length_c 10.7824
_cell_angle_alpha 90.00
_cell_angle_beta 90.00
_cell_angle_gamma 90.00
_space_group_name_H-M_alt 'P 1'
_space_group_IT_number 1
loop_
_space_group_symop_operation_xyz
'x,y,z'
loop_
_atom_site_label
_atom_site_type_symbol
_atom_site_fract_x
_atom_site_fract_y
_atom_site_fract_z
Sr1 Sr 0.3382 0.6725 0.0655
Sr2 Sr 0.1618 0.1725 0.4345
Sr3 Sr 0.6618 0.3275 0.5655
Sr4 Sr 0.8382 0.8275 0.9345
Sr5 Sr 0.6618 0.3275 0.9345
Sr6 Sr 0.8382 0.8275 0.5655
Sr7 Sr 0.3382 0.6725 0.4345
Sr8 Sr 0.1618 0.1725 0.0655
Sr9 Sr 0.8589 0.5362 0.2500
Sr10 Sr 0.6411 0.0362 0.2500
Sr11 Sr 0.1411 0.4638 0.7500
Sr12 Sr 0.3589 0.9638 0.7500
Hg1 Hg 0.0479 0.8776 0.2500
Hg2 Hg 0.4521 0.3776 0.2500
Hg3 Hg 0.9521 0.1224 0.7500
Hg4 Hg 0.5479 0.6224 0.7500
# * symmetry: No. 62
# * calculated total energy: -23.994 eV per atom
# * energy of formation from the pure elements: -293 meV/atom
# * calculated volume: 705.6 Å³ per cell
# * total moment: 0.11 μB per cell


# WBr6 | the Materials Project database | r²SCAN | relaxed
data_WBr6
_chemical_formula_sum 'W1 Br6'
_cell_length_a 7.0664
_cell_length_b 7.0664
_cell_length_c 7.0664
_cell_angle_alpha 55.32
_cell_angle_beta 55.32
_cell_angle_gamma 55.32
_space_group_name_H-M_alt 'P 1'
_space_group_IT_number 1
loop_
_space_group_symop_operation_xyz
'x,y,z'
loop_
_atom_site_label
_atom_site_type_symbol
_atom_site_fract_x
_atom_site_fract_y
_atom_site_fract_z
W1 W 0.0000 0.0000 0.0000
Br1 Br 0.2296 0.6167 0.9156
Br2 Br 0.9156 0.2296 0.6167
Br3 Br 0.6167 0.9156 0.2296
Br4 Br 0.7704 0.3833 0.0844
Br5 Br 0.0844 0.7704 0.3833
Br6 Br 0.3833 0.0844 0.7704
# * symmetry: No. 148
# * calculated total energy: -19.268 eV per atom
# * energy of formation from the pure elements: -565 meV/atom
# * calculated volume: 222.4 Å³ per cell
# * total moment: 0.00 μB per cell


# RbPrSe2 | the Materials Project database | r²SCAN | relaxed
data_RbPrSe2
_chemical_formula_sum 'Rb1 Pr1 Se2'
_cell_length_a 8.3665
_cell_length_b 8.3665
_cell_length_c 8.3665
_cell_angle_alpha 30.49
_cell_angle_beta 30.49
_cell_angle_gamma 30.49
_space_group_name_H-M_alt 'P 1'
_space_group_IT_number 1
loop_
_space_group_symop_operation_xyz
'x,y,z'
loop_
_atom_site_label
_atom_site_type_symbol
_atom_site_fract_x
_atom_site_fract_y
_atom_site_fract_z
Rb1 Rb 0.0000 0.0000 0.0000
Pr1 Pr 0.5000 0.5000 0.5000
Se1 Se 0.2344 0.2344 0.2344
Se2 Se 0.7656 0.7656 0.7656
# * symmetry: No. 166
# * calculated total energy: -20.000 eV per atom
# * energy of formation from the pure elements: -2010 meV/atom
# * calculated volume: 133.7 Å³ per cell
# * total moment: 0.00 μB per cell


# Sc5Sb3 | the Materials Project database | r²SCAN | relaxed
data_Sc5Sb3
_chemical_formula_sum 'Sc20 Sb12'
_cell_length_a 7.6646
_cell_length_b 8.7559
_cell_length_c 11.1682
_cell_angle_alpha 90.00
_cell_angle_beta 90.00
_cell_angle_gamma 90.00
_space_group_name_H-M_alt 'P 1'
_space_group_IT_number 1
loop_
_space_group_symop_operation_xyz
'x,y,z'
loop_
_atom_site_label
_atom_site_type_symbol
_atom_site_fract_x
_atom_site_fract_y
_atom_site_fract_z
Sc1 Sc 0.8051 0.5601 0.0665
Sc2 Sc 0.6949 0.9399 0.5665
Sc3 Sc 0.1949 0.0601 0.9335
Sc4 Sc 0.3051 0.4399 0.4335
Sc5 Sc 0.1949 0.4399 0.9335
Sc6 Sc 0.3051 0.0601 0.4335
Sc7 Sc 0.8051 0.9399 0.0665
Sc8 Sc 0.6949 0.5601 0.5665
Sc9 Sc 0.1752 0.7500 0.2299
Sc10 Sc 0.3248 0.7500 0.7299
Sc11 Sc 0.8248 0.2500 0.7701
Sc12 Sc 0.6752 0.2500 0.2701
Sc13 Sc 0.4740 0.7500 0.0054
Sc14 Sc 0.0260 0.7500 0.5054
Sc15 Sc 0.5260 0.2500 0.9946
Sc16 Sc 0.9740 0.2500 0.4946
Sc17 Sc 0.6571 0.7500 0.2871
Sc18 Sc 0.8429 0.7500 0.7871
Sc19 Sc 0.3429 0.2500 0.7129
Sc20 Sc 0.1571 0.2500 0.2129
Sb1 Sb 0.4077 0.7500 0.4761
Sb2 Sb 0.0923 0.7500 0.9761
Sb3 Sb 0.5923 0.2500 0.5239
Sb4 Sb 0.9077 0.2500 0.0239
Sb5 Sb 0.9352 0.5100 0.3259
Sb6 Sb 0.5648 0.9900 0.8258
Sb7 Sb 0.0648 0.0100 0.6742
Sb8 Sb 0.4352 0.4900 0.1741
Sb9 Sb 0.0648 0.4900 0.6742
Sb10 Sb 0.4352 0.0100 0.1741
Sb11 Sb 0.9352 0.9900 0.3259
Sb12 Sb 0.5648 0.5100 0.8258
# * symmetry: No. 62
# * calculated total energy: -17.719 eV per atom
# * energy of formation from the pure elements: -955 meV/atom
# * calculated volume: 749.5 Å³ per cell
# * total moment: 4.06 μB per cell